# PBE Sb4O5F2, relaxed
# Relative energy among the computed polymorphs   0.018 eV per atom
# Energy relative to the elements   -1.95 eV/atom
data_Sb4O5F2
_chemical_formula_sum 'Sb16 O20 F8'
_cell_length_a 10.941
_cell_length_b 5.622
_cell_length_c 14.129
_cell_angle_alpha 90.00
_cell_angle_beta 98.15
_cell_angle_gamma 90.00
_space_group_name_H-M_alt 'P 1 21 1'
_space_group_IT_number 4
loop_
_space_group_symop_operation_xyz
'x,y,z'
'-x,y+1/2,-z'
loop_
_atom_site_label
_atom_site_type_symbol
_atom_site_fract_x
_atom_site_fract_y
_atom_site_fract_z
Sb1 Sb 0.066 0.000 0.424
Sb2 Sb 0.099 0.001 0.704
Sb3 Sb 0.207 0.542 0.179
Sb4 Sb 0.267 0.450 0.907
Sb5 Sb 0.302 0.453 0.627
Sb6 Sb 0.356 0.038 0.310
Sb7 Sb 0.395 0.909 0.040
Sb8 Sb 0.417 0.942 0.774
O1 O 0.040 0.792 0.586
O2 O 0.075 0.271 0.604
O3 O 0.254 0.781 0.712
O4 O 0.268 0.235 0.736
O5 O 0.303 0.582 0.044
O6 O 0.326 0.280 0.208
O7 O 0.337 0.792 0.209
O8 O 0.392 0.769 0.900
O9 O 0.429 0.264 0.921
O10 O 0.463 0.586 0.705
F1 F 0.080 0.024 0.281
F2 F 0.191 0.551 0.324
F3 F 0.198 0.132 0.957
F4 F 0.418 0.179 0.595